[1]
Tm2CoSi2 | PBE | relaxed

Lattice parameters (Å, degrees): 5.5157 5.5157 9.8569 116.63 116.63 43.67
Sites, in units of the cell vectors:
1 Tm 0.0024 0.0024 0.3300
2 Tm 0.1859 0.1859 0.1072
3 Tm 0.8141 0.8141 0.8928
4 Tm 0.9976 0.9976 0.6700
5 Co 0.2731 0.2731 0.6257
6 Co 0.7269 0.7269 0.3743
7 Si 0.3510 0.3510 0.4332
8 Si 0.4917 0.4917 0.1245
9 Si 0.5083 0.5083 0.8755
10 Si 0.6490 0.6490 0.5668

Values from the calculation:
Its formation energy is -73.3 kJ per mole of atoms. The calculation puts the total energy at -6.171 eV/atom.

---

[2]
Dy2Ga5Cu12 | PBE | relaxed

Lattice parameters (Å, degrees): 6.5542 6.5542 6.5542 83.32 83.32 83.32
Sites, in units of the cell vectors:
1 Dy 0.1530 0.1530 0.1530
2 Dy 0.8470 0.8470 0.8470
3 Ga 0.0000 0.5000 0.5000
4 Ga 0.4001 0.4001 0.4001
5 Ga 0.5000 0.0000 0.5000
6 Ga 0.5000 0.5000 0.0000
7 Ga 0.5999 0.5999 0.5999
8 Cu 0.1523 0.1523 0.6644
9 Cu 0.1523 0.6644 0.1523
10 Cu 0.1881 0.5000 0.8119
11 Cu 0.1881 0.8119 0.5000
12 Cu 0.3356 0.8477 0.8477
13 Cu 0.5000 0.1881 0.8119
14 Cu 0.5000 0.8119 0.1881
15 Cu 0.6644 0.1523 0.1523
16 Cu 0.8119 0.1881 0.5000
17 Cu 0.8119 0.5000 0.1881
18 Cu 0.8477 0.3356 0.8477
19 Cu 0.8477 0.8477 0.3356

Values from the calculation:
Its formation energy is -20.6 kJ per mole of atoms. The calculation puts the total energy at -4.084 eV/atom.

---

[3]
Rb3Tc | PBE | relaxed

Lattice parameters (Å, degrees): 7.1122 7.1122 7.1122 128.63 128.63 75.60
Sites, in units of the cell vectors:
1 Rb 0.0000 0.0000 0.0000
2 Rb 0.2500 0.7500 0.5000
3 Rb 0.7500 0.2500 0.5000
4 Tc 0.5000 0.5000 0.0000

Values from the calculation:
The energy above the lowest structure with this stoichiometry is 0 meV per atom. Its formation energy is 119.8 kJ per mole of atoms. The calculation puts the total energy at -2.084 eV/atom.

---

[4]
Li2Ga2GeS6 | PBE | relaxed

Lattice parameters (Å, degrees): 12.0229 7.0631 13.0657 65.67 32.36 81.97
Sites, in units of the cell vectors:
1 Li 0.2144 0.7856 0.3817
2 Li 0.6317 0.8683 0.4644
3 Li 0.7856 0.2144 0.6183
4 Li 0.8683 0.6317 0.0356
5 Ga 0.1747 0.7137 0.0556
6 Ga 0.1944 0.1940 0.0753
7 Ga 0.1940 0.1944 0.5363
8 Ga 0.7137 0.1747 0.0560
9 Ge 0.2345 0.2345 0.7655
10 Ge 0.4845 0.4845 0.0155
11 S 0.1794 0.4356 0.3645
12 S 0.2295 0.8855 0.8144
13 S 0.3368 0.9492 0.4260
14 S 0.4007 0.4433 0.4515
15 S 0.4356 0.1794 0.0205
16 S 0.4433 0.4007 0.7045
17 S 0.5455 0.7985 0.8067
18 S 0.7985 0.5455 0.8493
19 S 0.8240 0.9620 0.9132
20 S 0.8855 0.2295 0.0706
21 S 0.9492 0.3368 0.2880
22 S 0.9620 0.8240 0.3008

Values from the calculation:
Its formation energy is -103.7 kJ per mole of atoms. The calculation puts the total energy at -4.374 eV/atom.

---

[5]
HfGe2Ru | PBE | relaxed

Lattice parameters (Å, degrees): 9.3096 10.4810 8.0786 90.00 90.00 90.00
Sites, in units of the cell vectors:
1 Hf 0.1663 0.1809 0.0000
2 Hf 0.1733 0.4518 0.2412
3 Hf 0.1733 0.4518 0.7588
4 Hf 0.3267 0.9518 0.2412
5 Hf 0.3267 0.9518 0.7588
6 Hf 0.3337 0.6809 0.0000
7 Hf 0.6663 0.3191 0.0000
8 Hf 0.6733 0.0482 0.2412
9 Hf 0.6733 0.0482 0.7588
10 Hf 0.8267 0.5482 0.2412
11 Hf 0.8267 0.5482 0.7588
12 Hf 0.8337 0.8191 0.0000
13 Ge 0.0362 0.6161 0.0000
14 Ge 0.0468 0.6131 0.5000
15 Ge 0.1321 0.9016 0.0000
16 Ge 0.1366 0.9051 0.5000
17 Ge 0.1545 0.1825 0.3469
18 Ge 0.1545 0.1825 0.6531
19 Ge 0.3455 0.6825 0.3469
20 Ge 0.3455 0.6825 0.6531
21 Ge 0.3634 0.4051 0.5000
22 Ge 0.3679 0.4016 0.0000
23 Ge 0.4532 0.1131 0.5000
24 Ge 0.4638 0.1161 0.0000
25 Ge 0.5362 0.8839 0.0000
26 Ge 0.5468 0.8869 0.5000
27 Ge 0.6321 0.5984 0.0000
28 Ge 0.6366 0.5949 0.5000
29 Ge 0.6545 0.3175 0.3469
30 Ge 0.6545 0.3175 0.6531
31 Ge 0.8455 0.8175 0.3469
32 Ge 0.8455 0.8175 0.6531
33 Ge 0.8634 0.0949 0.5000
34 Ge 0.8679 0.0984 0.0000
35 Ge 0.9532 0.3869 0.5000
36 Ge 0.9638 0.3839 0.0000
37 Ru 0.0000 0.0000 0.2465
38 Ru 0.0000 0.0000 0.7535
39 Ru 0.0977 0.7425 0.2503
40 Ru 0.0977 0.7425 0.7497
41 Ru 0.4023 0.2425 0.2503
42 Ru 0.4023 0.2425 0.7497
43 Ru 0.5000 0.5000 0.2465
44 Ru 0.5000 0.5000 0.7535
45 Ru 0.5977 0.7575 0.2503
46 Ru 0.5977 0.7575 0.7497
47 Ru 0.9023 0.2575 0.2503
48 Ru 0.9023 0.2575 0.7497

Values from the calculation:
Its formation energy is -54.3 kJ per mole of atoms. The calculation puts the total energy at -7.682 eV/atom.

---

[6]
Ag3Sn | PBE | relaxed

Lattice parameters (Å, degrees): 4.9289 5.9784 5.2996 90.00 90.00 90.00
Sites, in units of the cell vectors:
1 Ag 0.2500 0.0003 0.1634
2 Ag 0.2500 0.2500 0.6738
3 Ag 0.2500 0.4997 0.1634
4 Ag 0.7500 0.9997 0.8366
5 Ag 0.7500 0.5003 0.8366
6 Ag 0.7500 0.7500 0.3262
7 Sn 0.2500 0.7500 0.6682
8 Sn 0.7500 0.2500 0.3318

Values from the calculation:
Its formation energy is -1.9 kJ per mole of atoms. The calculation puts the total energy at -3.146 eV/atom.